(1)
First-principles (GGA+U) data for a geometry-optimized Co2As2O5 structure, as listed in the Materials Project.

Summary:
Calculated total energy in eV per atom: -6.11
V in Å³ per cell: 507.07
E_form in eV/atom: -1.494
Symmetry: No. 2

Unit cell a=6.3241 b=9.4497 c=9.4938 alpha=65.82 beta=81.98 gamma=79.15
Fractional positions:
As: 0.2131 0.6096 0.5139
As: 0.2613 0.2811 0.8339
As: 0.7694 0.2256 0.9902
As: 0.6145 0.9671 0.7443
As: 0.3855 0.0329 0.2557
As: 0.2306 0.7744 0.0098
As: 0.7387 0.7189 0.1661
As: 0.7869 0.3904 0.4861
Co: 0.8544 0.0611 0.3707
Co: 0.5993 0.4109 0.1558
Co: 0.4007 0.5891 0.8442
Co: 0.1456 0.9389 0.6293
Co: 0.9028 0.6088 0.8478
Co: 0.3252 0.2649 0.4556
Co: 0.0972 0.3912 0.1522
Co: 0.6748 0.7351 0.5444
O: 0.5951 0.3581 0.3816
O: 0.0292 0.3406 0.3844
O: 0.3147 0.5612 0.0894
O: 0.6853 0.4388 0.9106
O: 0.8296 0.0303 0.5926
O: 0.0100 0.1990 0.8722
O: 0.9708 0.6594 0.6156
O: 0.8241 0.5689 0.0914
O: 0.1759 0.4311 0.9086
O: 0.2394 0.3905 0.6228
O: 0.1234 0.7656 0.8421
O: 0.3786 0.2315 0.2421
O: 0.3742 0.0569 0.6355
O: 0.8766 0.2344 0.1579
O: 0.9900 0.8010 0.1278
O: 0.6214 0.7685 0.7579
O: 0.7606 0.6095 0.3772
O: 0.4049 0.6419 0.6184
O: 0.1704 0.9697 0.4074
O: 0.6258 0.9431 0.3645



(2)
First-principles (GGA+U) data for a geometry-optimized CoAsO4 structure, as listed in the Materials Project.

Summary:
Calculated total energy in eV per atom: -5.91
V in Å³ per cell: 303.97
E_form in eV/atom: -1.379
Total magnetic moment in μB per atom: 0.33
Symmetry: No. 62

Unit cell a=4.9511 b=5.8909 c=10.4218 alpha=90.00 beta=90.00 gamma=90.00
Fractional positions:
O: 0.3398 0.2500 0.4329
O: 0.2490 0.7500 0.3842
O: 0.8398 0.7500 0.0671
O: 0.7568 0.9699 0.3252
O: 0.2432 0.0301 0.6748
O: 0.7432 0.5301 0.8252
O: 0.7568 0.5301 0.3252
O: 0.2510 0.7500 0.8842
O: 0.7432 0.9699 0.8252
O: 0.6602 0.7500 0.5671
O: 0.2568 0.4699 0.1748
O: 0.2568 0.0301 0.1748
O: 0.7510 0.2500 0.6158
O: 0.2432 0.4699 0.6748
O: 0.7490 0.2500 0.1158
O: 0.1602 0.2500 0.9329
As: 0.9099 0.7500 0.9077
As: 0.5901 0.7500 0.4077
As: 0.0901 0.2500 0.0923
As: 0.4099 0.2500 0.5923
Co: 0.5714 0.2500 0.2798
Co: 0.0714 0.7500 0.2202
Co: 0.9286 0.2500 0.7798
Co: 0.4286 0.7500 0.7202



(3)
First-principles (GGA+U) data for a geometry-optimized Co3As2O8 structure, as listed in the Materials Project.

Summary:
Calculated total energy in eV per atom: -6.15
Energy above the lowest structure with this stoichiometry in meV/atom: 12
V in Å³ per cell: 458.11
E_form in eV/atom: -1.548
Total magnetic moment in μB per atom: 0.69
Symmetry: No. 82

Unit cell a=10.6569 b=10.6569 c=10.6569 alpha=141.87 beta=141.87 gamma=55.02
Fractional positions:
O: 0.3475 0.1128 0.6711
O: 0.5044 0.8534 0.7710
O: 0.9911 0.8337 0.7361
O: 0.9247 0.1930 0.8169
O: 0.5294 0.2986 0.2213
O: 0.1663 0.9025 0.1574
O: 0.2666 0.4956 0.3490
O: 0.5444 0.2628 0.6900
O: 0.7372 0.4272 0.2816
O: 0.1456 0.4556 0.7184
O: 0.8921 0.0753 0.2683
O: 0.0975 0.2549 0.2639
O: 0.3761 0.1079 0.1831
O: 0.8872 0.5583 0.2347
O: 0.0824 0.7334 0.2290
O: 0.4417 0.6764 0.3289
O: 0.7451 0.0089 0.8426
O: 0.0773 0.3081 0.7787
O: 0.3236 0.6525 0.7653
O: 0.1466 0.9176 0.6510
O: 0.6919 0.4706 0.7692
O: 0.5728 0.8544 0.3100
O: 0.7014 0.9227 0.2308
O: 0.8070 0.6239 0.7317
Co: 0.3699 0.3777 0.4998
Co: 0.2256 0.2256 0.0000
Co: 0.6223 0.1221 0.9922
Co: 0.0215 0.5215 0.5000
Co: 0.4785 0.9785 0.5000
Co: 0.1299 0.6301 0.0078
Co: 0.8779 0.8701 0.5002
Co: 0.7744 0.7744 0.0000
Co: 0.7500 0.2500 0.5000
As: 0.2500 0.7500 0.5000
As: 0.7785 0.3718 0.9035
As: 0.1250 0.2215 0.5933
As: 0.4683 0.8750 0.0965
As: 0.0000 0.0000 0.0000
As: 0.6282 0.5317 0.4067



(4)
First-principles (GGA+U) data for a geometry-optimized Co2AsO5 structure, as listed in the Materials Project.

Summary:
Calculated total energy in eV per atom: -6.04
V in Å³ per cell: 421.71
E_form in eV/atom: -1.430
Total magnetic moment in μB per atom: 0.62
Symmetry: No. 58

Unit cell a=5.9583 b=8.4089 c=8.4170 alpha=90.00 beta=90.00 gamma=90.00
Fractional positions:
Co: 0.7452 0.5000 0.5000
Co: 0.0000 0.8784 0.3473
Co: 0.5000 0.6216 0.8473
Co: 0.2548 0.5000 0.5000
Co: 0.7548 0.0000 0.0000
Co: 0.2452 0.0000 0.0000
Co: 0.5000 0.3784 0.1527
Co: 0.0000 0.1216 0.6527
O: 0.2352 0.2334 0.1374
O: 0.5000 0.6062 0.0974
O: 0.5000 0.0708 0.8591
O: 0.0000 0.1062 0.4026
O: 0.2648 0.7334 0.3626
O: 0.0000 0.5708 0.6409
O: 0.0000 0.4292 0.3591
O: 0.7352 0.7334 0.3626
O: 0.0000 0.0696 0.8754
O: 0.7648 0.7666 0.8626
O: 0.5000 0.3938 0.9026
O: 0.2648 0.2666 0.6374
O: 0.5000 0.9292 0.1409
O: 0.0000 0.9304 0.1246
O: 0.5000 0.4304 0.3754
O: 0.7352 0.2666 0.6374
O: 0.2352 0.7666 0.8626
O: 0.7648 0.2334 0.1374
O: 0.5000 0.5696 0.6246
O: 0.0000 0.8938 0.5974
As: 0.5000 0.7476 0.2446
As: 0.0000 0.2476 0.2554
As: 0.5000 0.2524 0.7554
As: 0.0000 0.7524 0.7446



(5)
First-principles (GGA+U) data for a geometry-optimized SmCoAsO structure, as listed in the Materials Project.

Summary:
Calculated total energy in eV per atom: -6.47
V in Å³ per cell: 128.92
E_form in eV/atom: -1.688
Total magnetic moment in μB per atom: 0.16
Symmetry: No. 129

Unit cell a=4.0179 b=4.0179 c=7.9859 alpha=90.00 beta=90.00 gamma=90.00
Fractional positions:
O: 0.0000 0.0000 0.0000
O: 0.5000 0.5000 0.0000
Co: 0.5000 0.5000 0.5000
Co: 0.0000 0.0000 0.5000
As: 0.5000 0.0000 0.6398
As: 0.0000 0.5000 0.3602
Sm: 0.5000 0.0000 0.1429
Sm: 0.0000 0.5000 0.8571



(6)
First-principles (GGA+U) data for a geometry-optimized Co8TeAs2O16 structure, as listed in the Materials Project.

Summary:
Calculated total energy in eV per atom: -6.06
V in Å³ per cell: 627.75
E_form in eV/atom: -1.453
Total magnetic moment in μB per atom: 0.89
Symmetry: No. 64

Unit cell a=12.3143 b=12.3143 c=8.7042 alpha=90.00 beta=90.00 gamma=151.60
Fractional positions:
As: 0.3094 0.6906 0.1087
As: 0.1906 0.8094 0.6087
As: 0.8094 0.1906 0.3913
As: 0.6906 0.3094 0.8913
O: 0.7521 0.2479 0.2704
O: 0.1319 0.8681 0.7320
O: 0.6319 0.3681 0.7680
O: 0.2166 0.3352 0.4963
O: 0.4185 0.0459 0.4961
O: 0.4541 0.0815 0.0039
O: 0.5080 0.4920 0.2735
O: 0.0080 0.9920 0.2265
O: 0.0459 0.4185 0.5039
O: 0.1648 0.2834 0.0037
O: 0.4920 0.5080 0.7265
O: 0.3693 0.6307 0.7150
O: 0.0815 0.4541 0.9961
O: 0.9920 0.0080 0.7735
O: 0.5815 0.9541 0.5039
O: 0.7166 0.8352 0.0037
O: 0.3352 0.2166 0.5037
O: 0.9185 0.5459 0.0039
O: 0.2479 0.7521 0.7296
O: 0.9541 0.5815 0.4961
O: 0.8693 0.1307 0.7850
O: 0.6648 0.7834 0.4963
O: 0.8352 0.7166 0.9963
O: 0.1307 0.8693 0.2150
O: 0.7479 0.2521 0.7704
O: 0.3681 0.6319 0.2320
O: 0.8681 0.1319 0.2680
O: 0.7834 0.6648 0.5037
O: 0.6307 0.3693 0.2850
O: 0.2834 0.1648 0.9963
O: 0.2521 0.7479 0.2296
O: 0.5459 0.9185 0.9961
Co: 0.4429 0.0571 0.2500
Co: 0.1771 0.3229 0.7500
Co: 0.3229 0.1771 0.2500
Co: 0.5571 0.9429 0.7500
Co: 0.8229 0.6771 0.2500
Co: 0.9429 0.5571 0.2500
Co: 0.3641 0.6359 0.4722
Co: 0.0571 0.4429 0.7500
Co: 0.5590 0.4410 0.8718
Co: 0.0590 0.9410 0.6282
Co: 0.6359 0.3641 0.5278
Co: 0.1359 0.8641 0.9722
Co: 0.8641 0.1359 0.0278
Co: 0.9410 0.0590 0.3718
Co: 0.4410 0.5590 0.1282
Co: 0.6771 0.8229 0.7500
Te: 0.0000 0.0000 0.0000
Te: 0.5000 0.5000 0.5000



(7)
First-principles (GGA+U) data for a geometry-optimized U2CoAs2O20 structure, as listed in the Materials Project.

Summary:
Calculated total energy in eV per atom: -6.20
V in Å³ per cell: 804.49
E_form in eV/atom: -1.292
Total magnetic moment in μB per atom: 0.56
Symmetry: No. 2

Unit cell a=7.1560 b=9.0039 c=12.8129 alpha=80.56 beta=84.25 gamma=82.32
Fractional positions:
O: 0.4586 0.2696 0.6073
O: 0.8028 0.1424 0.7436
O: 0.5952 0.8014 0.7956
O: 0.9129 0.2030 0.9362
O: 0.5554 0.2856 0.3120
O: 0.1972 0.8576 0.2564
O: 0.8777 0.5823 0.8088
O: 0.4446 0.7144 0.6880
O: 0.0443 0.8581 0.7187
O: 0.9557 0.1419 0.2813
O: 0.9271 0.6982 0.4241
O: 0.7408 0.9412 0.1566
O: 0.8156 0.6218 0.0101
O: 0.1223 0.4177 0.1912
O: 0.5333 0.2332 0.9016
O: 0.4904 0.4566 0.1699
O: 0.4048 0.1986 0.2044
O: 0.7933 0.1236 0.5204
O: 0.7743 0.2569 0.1700
O: 0.3856 0.9880 0.5576
O: 0.2611 0.5577 0.5625
O: 0.5414 0.7304 0.3927
O: 0.2067 0.8764 0.4796
O: 0.1568 0.2679 0.3518
O: 0.7206 0.4654 0.6617
O: 0.8093 0.6202 0.2391
O: 0.0871 0.7970 0.0638
O: 0.2257 0.7431 0.8300
O: 0.1844 0.3782 0.9899
O: 0.7436 0.9427 0.9310
O: 0.2592 0.0588 0.8434
O: 0.7389 0.4423 0.4375
O: 0.2564 0.0573 0.0690
O: 0.8432 0.7321 0.6482
O: 0.2794 0.5346 0.3383
O: 0.4667 0.7668 0.0984
O: 0.1907 0.3798 0.7609
O: 0.5096 0.5434 0.8301
O: 0.0729 0.3018 0.5759
O: 0.6143 0.0120 0.4424
U: 0.7778 0.7815 0.0831
U: 0.7646 0.2915 0.5906
U: 0.2222 0.2185 0.9169
U: 0.2354 0.7085 0.4094
Co: 0.3205 0.3623 0.2575
Co: 0.6795 0.6377 0.7425
As: 0.7557 0.6229 0.3717
As: 0.2443 0.3771 0.6283
As: 0.7477 0.1300 0.8782
As: 0.2523 0.8700 0.1218



(8)
First-principles (GGA+U) data for a geometry-optimized V3Co10AsO20 structure, as listed in the Materials Project.

Summary:
Calculated total energy in eV per atom: -6.56
V in Å³ per cell: 768.72
E_form in eV/atom: -1.661
Total magnetic moment in μB per atom: 0.18
Symmetry: No. 12

Unit cell a=10.1885 b=10.1885 c=14.7552 alpha=62.15 beta=62.15 gamma=35.15
Fractional positions:
O: 0.1192 0.5786 0.8449
O: 0.5626 0.1272 0.3404
O: 0.1772 0.7123 0.4441
O: 0.1832 0.7114 0.9566
O: 0.9669 0.5371 0.7358
O: 0.8989 0.8989 0.1510
O: 0.4214 0.8808 0.1551
O: 0.2842 0.2842 0.0533
O: 0.6076 0.6076 0.8323
O: 0.7158 0.7158 0.9467
O: 0.9076 0.9076 0.6486
O: 0.3028 0.3028 0.5478
O: 0.0331 0.4629 0.2642
O: 0.9893 0.9893 0.2573
O: 0.8062 0.8062 0.0457
O: 0.4629 0.0331 0.2642
O: 0.3949 0.3949 0.6569
O: 0.1938 0.1938 0.9543
O: 0.3924 0.3924 0.1677
O: 0.0107 0.0107 0.7427
O: 0.8808 0.4214 0.1551
O: 0.2877 0.8228 0.5559
O: 0.7114 0.1832 0.9566
O: 0.4976 0.4976 0.7543
O: 0.1011 0.1011 0.8490
O: 0.5786 0.1192 0.8449
O: 0.8168 0.2886 0.0434
O: 0.1272 0.5626 0.3404
O: 0.2105 0.2105 0.4362
O: 0.5371 0.9669 0.7358
O: 0.7895 0.7895 0.5638
O: 0.6972 0.6972 0.4522
O: 0.8228 0.2877 0.5559
O: 0.5024 0.5024 0.2457
O: 0.2886 0.8168 0.0434
O: 0.7123 0.1772 0.4441
O: 0.8728 0.4374 0.6596
O: 0.0924 0.0924 0.3514
O: 0.6051 0.6051 0.3431
O: 0.4374 0.8728 0.6596
Co: 0.0000 0.5000 0.5000
Co: 0.1079 0.6116 0.5970
Co: 0.5000 0.0000 0.5000
Co: 0.2066 0.7064 0.1922
Co: 0.7934 0.2936 0.8078
Co: 0.1938 0.1938 0.2006
Co: 0.6120 0.6120 0.9640
Co: 0.6116 0.1079 0.5970
Co: 0.5944 0.5944 0.6049
Co: 0.3880 0.3880 0.0360
Co: 0.5000 0.0000 0.0000
Co: 0.8062 0.8062 0.7994
Co: 0.7953 0.7953 0.2934
Co: 0.2936 0.7934 0.8078
Co: 0.7064 0.2066 0.1922
Co: 0.4056 0.4056 0.3951
Co: 0.2047 0.2047 0.7066
Co: 0.3884 0.8921 0.4030
Co: 0.0000 0.5000 0.0000
Co: 0.8921 0.3884 0.4030
As: 0.7021 0.7021 0.7019
As: 0.2979 0.2979 0.2981
V: 0.0079 0.0079 0.6265
V: 0.8997 0.8997 0.0269
V: 0.6041 0.6041 0.2244
V: 0.1003 0.1003 0.9731
V: 0.3959 0.3959 0.7756
V: 0.9921 0.9921 0.3735



(9)
First-principles (GGA+U) data for a geometry-optimized VCo3AsO8 structure, as listed in the Materials Project.

Summary:
Calculated total energy in eV per atom: -6.54
V in Å³ per cell: 294.87
E_form in eV/atom: -1.729
Symmetry: No. 12

Unit cell a=6.5635 b=6.5635 c=8.3068 alpha=89.91 beta=89.91 gamma=55.49
Fractional positions:
O: 0.2465 0.2465 0.7319
O: 0.7492 0.7492 0.7711
O: 0.1138 0.6450 0.4998
O: 0.0039 0.0039 0.7489
O: 0.9961 0.9961 0.2511
O: 0.6153 0.1508 0.9975
O: 0.7535 0.7535 0.2681
O: 0.5021 0.5021 0.2542
O: 0.2508 0.2508 0.2289
O: 0.3847 0.8492 0.0025
O: 0.8492 0.3847 0.0025
O: 0.8862 0.3550 0.5002
O: 0.4979 0.4979 0.7458
O: 0.1508 0.6153 0.9975
O: 0.3550 0.8862 0.5002
O: 0.6450 0.1138 0.4998
Co: 0.0000 0.0000 0.0000
Co: 0.8857 0.3854 0.2521
Co: 0.5000 0.5000 0.5000
Co: 0.1143 0.6146 0.7479
Co: 0.6146 0.1143 0.7479
Co: 0.3854 0.8857 0.2521
As: 0.8765 0.8765 0.3846
As: 0.1235 0.1235 0.6154
V: 0.3787 0.3787 0.1186
V: 0.6213 0.6213 0.8814